--- A ---
A geometry-optimized Co3O2F4 structure, computed with PBE+U. Values from VASP.

Output
Space group   P1

Quantum ESPRESSO input file:
```
&SYSTEM
  ibrav = 0, nat = 18, ntyp = 3
/
ATOMIC_SPECIES
Co 58.93 Co.upf
O 16.00 O.upf
F 19.00 F.upf
CELL_PARAMETERS angstrom
4.636 0.000 0.000
0.014 4.640 0.000
0.064 0.150 9.329
ATOMIC_POSITIONS angstrom
Co 0.000 0.000 0.000
Co 0.170 0.212 6.226
Co 0.304 0.314 3.204
Co 2.285 2.675 4.627
Co 2.507 2.504 1.582
Co 2.673 2.409 7.891
O 1.113 4.050 4.692
O 1.603 1.665 3.101
O 3.301 3.217 0.149
O 3.863 1.092 7.781
F 1.039 3.860 1.606
F 1.182 3.835 7.786
F 1.495 1.423 0.074
F 1.553 1.691 6.228
F 3.390 3.430 6.227
F 3.448 3.538 3.168
F 3.811 1.276 4.721
F 3.913 1.039 1.672
```

--- B ---
A geometry-optimized Co3O2F4 structure, computed with PBE+U. Values from VASP.

Output
Space group   P1

Quantum ESPRESSO input file:
```
&SYSTEM
  ibrav = 0, nat = 18, ntyp = 3
/
ATOMIC_SPECIES
Co 58.93 Co.upf
O 16.00 O.upf
F 19.00 F.upf
CELL_PARAMETERS angstrom
4.677 0.000 0.000
0.174 5.620 0.000
0.212 0.392 7.692
ATOMIC_POSITIONS angstrom
Co 0.000 0.000 0.000
Co 0.190 1.967 4.854
Co 2.445 5.007 5.204
Co 2.641 3.128 7.617
Co 2.517 1.073 2.544
Co 4.766 3.772 2.535
O 1.712 4.770 6.976
O 1.601 0.940 4.228
O 3.304 1.178 0.751
O 3.860 2.138 3.255
F 1.117 1.975 6.768
F 1.144 3.695 4.310
F 1.207 5.536 1.807
F 1.494 2.670 1.706
F 3.466 4.978 3.360
F 3.544 3.232 5.820
F 3.870 3.992 0.746
F 3.914 0.436 5.833
```

A ends up most stable, edging out the next structure by 0.014 eV/atom.

--- A ---
A geometry-optimized LiCdMoO5 structure, computed with PBE+U. Values from VASP.

Output
Space group   P2_1/c

Quantum ESPRESSO input file:
```
&SYSTEM
  ibrav = 0, nat = 32, ntyp = 4
/
ATOMIC_SPECIES
Li 6.94 Li.upf
Cd 112.41 Cd.upf
Mo 95.94 Mo.upf
O 16.00 O.upf
CELL_PARAMETERS angstrom
10.032 0.000 0.000
0.000 5.815 0.000
-2.108 0.000 7.739
ATOMIC_POSITIONS angstrom
Li -0.229 0.469 2.705
Li -1.283 2.438 6.575
Li 9.207 3.377 1.164
Li 8.153 5.346 5.034
Cd 3.581 1.388 2.898
Cd 2.528 1.520 6.767
Cd 5.396 4.296 0.972
Cd 4.342 4.427 4.841
Mo 0.760 3.386 4.130
Mo 1.814 5.337 0.260
Mo 6.109 0.478 7.479
Mo 7.163 2.430 3.609
O -1.198 0.434 6.738
O -0.144 2.474 2.868
O 1.230 3.658 0.333
O 0.176 5.065 4.203
O 1.726 0.325 1.872
O 0.672 2.583 5.742
O 2.524 3.329 3.659
O 1.470 5.394 7.529
O 3.050 0.473 4.878
O 4.104 2.435 1.009
O 3.820 3.380 6.730
O 4.873 5.342 2.861
O 6.453 0.421 0.210
O 5.399 2.486 4.080
O 7.251 3.233 1.997
O 6.197 5.490 5.867
O 7.747 0.751 3.536
O 6.693 2.157 7.406
O 8.068 3.341 4.871
O 9.121 5.381 1.001
```

--- B ---
A geometry-optimized LiCdMoO5 structure, computed with PBE+U. Values from VASP.

Output
Space group   P2_1/c

Quantum ESPRESSO input file:
```
&SYSTEM
  ibrav = 0, nat = 32, ntyp = 4
/
ATOMIC_SPECIES
Li 6.94 Li.upf
Cd 112.41 Cd.upf
Mo 95.94 Mo.upf
O 16.00 O.upf
CELL_PARAMETERS angstrom
10.758 0.000 0.000
0.000 5.463 0.000
-4.282 0.000 9.539
ATOMIC_POSITIONS angstrom
Li 1.688 0.717 0.560
Li -0.453 2.015 5.330
Li 6.930 3.448 4.209
Li 4.788 4.746 8.979
Cd -2.555 3.516 7.541
Cd -0.413 4.678 2.771
Cd 6.890 0.785 6.768
Cd 9.031 1.947 1.998
Mo 1.194 2.945 8.017
Mo 3.335 5.249 3.247
Mo 3.141 0.214 6.292
Mo 5.282 2.517 1.523
O -1.055 0.928 3.950
O -3.196 1.803 8.720
O -2.510 0.007 8.444
O -0.369 2.724 3.675
O 1.810 0.019 2.363
O -0.331 2.712 7.133
O 4.603 3.659 0.107
O 2.462 4.535 4.876
O 4.358 0.967 1.970
O 2.217 1.764 6.740
O 4.260 3.699 2.799
O 2.118 4.495 7.569
O 4.014 0.927 4.663
O 1.873 1.804 9.433
O 6.808 2.751 2.406
O 4.666 5.444 7.176
O 6.845 2.738 5.864
O 8.986 5.456 1.095
O 9.672 3.660 0.819
O 7.531 4.535 5.589
```

A ends up most stable, edging out the next structure by 0.316 eV/atom.

--- A ---
A geometry-optimized CoH2O2 structure, computed with PBE+U. Values from VASP.

Output
Space group   P1

Quantum ESPRESSO input file:
```
&SYSTEM
  ibrav = 0, nat = 5, ntyp = 3
/
ATOMIC_SPECIES
Co 58.93 Co.upf
H 1.01 H.upf
O 16.00 O.upf
CELL_PARAMETERS angstrom
3.075 0.000 0.000
1.481 2.903 0.000
0.626 0.601 4.961
ATOMIC_POSITIONS angstrom
Co 0.000 0.000 0.000
H 2.307 1.736 3.009
H 3.090 3.084 1.928
O 2.203 1.623 3.979
O 3.009 2.384 1.255
```

--- B ---
A geometry-optimized CoH2O2 structure, computed with PBE+U. Values from VASP.

Quantum ESPRESSO input file:
```
&SYSTEM
  ibrav = 0, nat = 10, ntyp = 3
/
ATOMIC_SPECIES
H 1.01 H.upf
O 16.00 O.upf
Co 58.93 Co.upf
CELL_PARAMETERS angstrom
-1.568 -2.742 -0.307
2.029 -2.479 5.020
-4.812 2.881 -0.224
ATOMIC_POSITIONS angstrom
H -0.455 -1.717 1.756
H -4.291 -0.130 2.490
H -3.639 -1.643 1.492
H -1.103 -0.204 2.756
O 0.385 -3.117 3.672
O -5.079 1.181 0.578
O -3.456 -1.630 0.537
O -1.238 -0.307 3.714
Co 0.296 -5.026 4.589
Co -1.326 -2.215 4.632
```

B ends up most stable, edging out the next structure by 0.027 eV/atom.

--- A ---
A geometry-optimized Li3V4FeO12 structure, computed with PBE+U. Values from VASP.

Output
Space group   C2

Quantum ESPRESSO input file:
```
&SYSTEM
  ibrav = 0, nat = 20, ntyp = 4
/
ATOMIC_SPECIES
Li 6.94 Li.upf
V 50.94 V.upf
Fe 55.84 Fe.upf
O 16.00 O.upf
CELL_PARAMETERS angstrom
5.432 -4.268 0.000
5.432 4.268 0.000
-2.142 0.000 5.215
ATOMIC_POSITIONS angstrom
Li 0.000 0.000 0.000
Li 5.432 1.173 0.000
Li 4.361 -2.613 2.607
V 1.991 0.186 2.354
V 0.921 -1.618 5.123
V 6.731 0.186 2.861
V 7.801 -1.618 0.091
Fe 4.361 2.883 2.607
O 1.846 1.029 0.406
O 4.037 2.717 0.603
O 0.199 0.115 2.189
O 2.926 1.524 2.946
O 4.684 2.717 4.612
O 1.957 -0.554 4.221
O 5.795 1.524 2.269
O 3.131 -1.260 1.649
O 6.876 1.029 4.808
O 6.765 -0.554 0.994
O 5.590 -1.260 3.566
O 8.523 0.115 3.026
```

--- B ---
A geometry-optimized Li3V4FeO12 structure, computed with PBE+U. Values from VASP.

Output
Space group   P1

Quantum ESPRESSO input file:
```
&SYSTEM
  ibrav = 0, nat = 40, ntyp = 4
/
ATOMIC_SPECIES
Li 6.94 Li.upf
V 50.94 V.upf
Fe 55.84 Fe.upf
O 16.00 O.upf
CELL_PARAMETERS angstrom
7.736 0.000 0.000
-2.153 7.436 0.000
-1.968 -4.333 9.063
ATOMIC_POSITIONS angstrom
Li 0.000 0.000 0.000
Li -1.514 5.319 2.277
Li -0.486 0.675 6.806
Li 2.852 -2.138 4.547
Li 1.389 3.177 6.803
Li 4.363 2.840 2.279
V 0.847 -2.271 7.072
V 1.176 3.201 1.970
V 0.917 6.989 0.322
V 1.569 0.681 4.225
V 5.595 -0.118 2.581
V 4.047 1.138 6.537
V 3.866 4.798 4.864
V 4.404 -1.424 8.752
Fe -1.100 2.836 4.589
Fe 1.758 0.691 9.022
O -2.185 1.847 6.070
O -0.906 -2.251 6.360
O 0.266 2.770 0.498
O -0.435 6.065 0.723
O 1.060 -0.876 3.825
O 0.142 3.998 3.084
O 0.475 -3.350 8.597
O 0.457 1.481 5.259
O -0.296 4.288 5.910
O 1.770 1.691 2.711
O 0.030 1.808 8.354
O 1.110 -0.628 7.529
O 2.560 4.107 1.578
O 3.980 0.033 1.837
O 3.120 0.478 5.011
O 2.479 3.907 5.198
O 3.934 -3.004 8.415
O 2.922 1.870 7.695
O 5.432 -1.111 4.053
O 5.236 3.691 0.739
O 4.499 6.549 1.471
O 4.555 -0.536 7.258
O 4.929 3.925 3.811
O 6.079 1.463 2.975
```

A ends up most stable, edging out the next structure by 0.015 eV/atom.

--- A ---
A geometry-optimized Li3V2P3O12 structure, computed with PBE+U. Values from VASP.

Output
Space group   Ia-3d

Quantum ESPRESSO input file:
```
&SYSTEM
  ibrav = 0, nat = 80, ntyp = 4
/
ATOMIC_SPECIES
Li 6.94 Li.upf
V 50.94 V.upf
P 30.97 P.upf
O 16.00 O.upf
CELL_PARAMETERS angstrom
-5.916 5.916 5.916
5.916 -5.916 5.916
5.916 5.916 -5.916
ATOMIC_POSITIONS angstrom
Li 2.958 1.479 0.000
Li 5.916 2.958 -1.479
Li 1.479 0.000 2.958
Li 7.395 0.000 2.958
Li 0.000 2.958 1.479
Li 2.958 -1.479 5.916
Li 2.958 7.395 0.000
Li 5.916 2.958 4.437
Li -1.479 5.916 2.958
Li 4.437 5.916 2.958
Li 0.000 2.958 7.395
Li 2.958 4.437 5.916
V 0.000 0.000 0.000
V 2.958 2.958 -2.958
V 2.958 -2.958 2.958
V 5.916 0.000 0.000
V -2.958 2.958 2.958
V 0.000 5.916 0.000
V 0.000 0.000 5.916
V 2.958 2.958 2.958
P 8.874 1.479 0.000
P 5.916 -2.958 4.437
P 4.437 5.916 -2.958
P 4.437 0.000 2.958
P 2.958 4.437 0.000
P 5.916 2.958 1.479
P 0.000 2.958 4.437
P 2.958 1.479 5.916
P 1.479 5.916 2.958
P 1.479 0.000 8.874
P 0.000 8.874 1.479
P -2.958 4.437 5.916
O 1.883 -0.504 0.568
O 6.991 3.526 -3.462
O 7.799 0.504 0.568
O 6.991 -2.390 3.462
O 5.412 -0.568 1.883
O 9.378 -1.075 2.390
O 0.568 1.883 -0.504
O 8.306 2.454 -1.075
O 3.526 3.462 -1.075
O 5.348 1.883 0.504
O -0.504 0.568 1.883
O 3.462 -1.075 3.526
O 5.412 5.348 -1.883
O 3.462 1.075 2.390
O 3.526 -3.462 6.991
O 5.348 -1.883 5.412
O 2.390 3.462 1.075
O 6.484 4.033 0.504
O 3.462 6.991 -2.390
O 5.412 0.568 4.033
O 1.883 5.412 -0.568
O 6.991 2.390 2.454
O 1.075 2.390 3.462
O 1.883 0.504 5.348
O 4.033 5.412 0.568
O 4.841 3.526 2.454
O -1.075 3.526 3.462
O 4.033 0.504 6.484
O 0.504 5.348 1.883
O 2.454 -1.075 8.306
O -0.568 1.883 5.412
O 3.526 2.454 4.841
O 0.568 7.799 0.504
O 2.390 9.378 -1.075
O 2.454 4.841 3.526
O 0.504 0.568 7.799
O 2.454 6.991 2.390
O 6.420 5.348 4.033
O 0.568 4.033 5.412
O 2.390 2.454 6.991
O -2.390 3.462 6.991
O 5.348 4.033 6.420
O -3.462 6.991 3.526
O 0.504 6.484 4.033
O -1.075 8.306 2.454
O -1.883 5.412 5.348
O -1.075 2.390 9.378
O 4.033 6.420 5.348
```

--- B ---
A geometry-optimized Li3V2P3O12 structure, computed with PBE+U. Values from VASP.

Output
Space group   Cc

Quantum ESPRESSO input file:
```
&SYSTEM
  ibrav = 0, nat = 40, ntyp = 4
/
ATOMIC_SPECIES
Li 6.94 Li.upf
V 50.94 V.upf
P 30.97 P.upf
O 16.00 O.upf
CELL_PARAMETERS angstrom
7.594 -4.357 0.000
7.594 4.357 0.000
-4.920 0.000 7.223
ATOMIC_POSITIONS angstrom
Li 5.134 3.711 3.612
Li 2.233 1.121 3.927
Li 4.693 -1.121 0.316
Li 4.660 1.363 7.027
Li 7.120 -1.363 3.415
Li 7.594 -3.711 0.000
V 1.714 2.135 6.765
V 7.559 2.191 4.731
V 4.174 -2.135 3.153
V 10.019 -2.191 1.119
P -1.062 0.975 5.435
P 1.398 -0.975 1.824
P 5.226 0.973 2.429
P 2.766 -0.973 6.041
P 12.150 0.405 0.366
P 9.690 -0.405 3.978
O 2.585 3.086 5.168
O -1.659 1.194 6.818
O 1.284 0.558 1.556
O 0.403 1.485 5.342
O 3.740 1.427 2.517
O -1.176 -0.558 5.168
O 8.259 2.686 0.651
O 5.748 1.121 0.990
O 0.801 -1.194 3.207
O 5.971 1.837 3.462
O 2.937 0.542 6.361
O 2.863 -1.485 1.730
O 1.280 -1.427 6.128
O 5.397 -0.542 2.750
O 3.288 -1.121 4.602
O 6.684 1.361 6.471
O 8.466 0.462 4.350
O 5.045 -3.086 1.556
O 3.511 -1.837 7.074
O 10.926 -0.462 0.739
O 10.933 0.397 3.539
O 5.799 -2.686 4.263
O 9.144 -1.361 2.860
O 8.473 -0.397 7.150
```

B ends up most stable, edging out the next structure by 0.021 eV/atom.

--- A ---
A geometry-optimized MgTlV4O10 structure, computed with PBE+U. Values from VASP.

Output
Space group   P1

Quantum ESPRESSO input file:
```
&SYSTEM
  ibrav = 0, nat = 16, ntyp = 4
/
ATOMIC_SPECIES
Mg 24.30 Mg.upf
Tl 204.38 Tl.upf
V 50.94 V.upf
O 16.00 O.upf
CELL_PARAMETERS angstrom
3.810 0.000 0.000
-1.903 6.103 0.000
-0.015 -1.732 10.155
ATOMIC_POSITIONS angstrom
Mg 0.000 0.000 0.000
Tl 1.927 0.126 2.297
V 0.035 0.013 7.433
V 0.032 2.040 4.852
V 1.938 2.417 7.523
V 1.937 4.435 4.815
O 0.031 0.153 5.460
O 0.032 -0.141 9.175
O 0.037 1.597 3.186
O 0.032 2.068 7.124
O 0.032 4.009 4.923
O 1.937 0.480 7.416
O 1.937 2.432 5.259
O 1.937 2.744 9.213
O 1.938 4.854 3.109
O 1.939 4.373 7.027
```

--- B ---
A geometry-optimized MgTlV4O10 structure, computed with PBE+U. Values from VASP.

Output
Space group   P1

Quantum ESPRESSO input file:
```
&SYSTEM
  ibrav = 0, nat = 16, ntyp = 4
/
ATOMIC_SPECIES
Mg 24.30 Mg.upf
Tl 204.38 Tl.upf
V 50.94 V.upf
O 16.00 O.upf
CELL_PARAMETERS angstrom
3.853 0.000 0.000
1.923 5.714 0.000
0.016 1.432 10.879
ATOMIC_POSITIONS angstrom
Mg 0.000 0.000 0.000
Tl 3.831 1.929 5.956
V 1.919 3.368 2.508
V 1.940 3.150 9.413
V 3.845 5.693 2.523
V 3.867 5.312 9.418
O 1.919 5.356 2.019
O 1.941 5.117 9.977
O 1.918 3.196 4.144
O 1.937 2.935 7.778
O 1.920 1.589 1.782
O 1.942 1.375 10.317
O 3.845 5.877 4.135
O 3.870 5.539 7.803
O 3.845 3.791 2.071
O 3.867 3.315 9.918
```

B ends up most stable, edging out the next structure by 0.130 eV/atom.